# 1
First-principles (PBE) data for a geometry-optimized LaCrSe3 structure, as listed in Materials Project.

Summary:
theoretical density = 6.2 g cm⁻³
energy relative to the elements = -1574 meV per atom
energy with MP2020 corrections = -6.59 eV/atom

Structure (CIF):
```
data_LaCrSe3
_cell_length_a 8.2494
_cell_length_b 4.0065
_cell_length_c 13.8405
_cell_angle_alpha 90.00
_cell_angle_beta 90.00
_cell_angle_gamma 90.00
_space_group_name_H-M_alt 'P n m a'
_space_group_IT_number 62
loop_
_space_group_symop_operation_xyz
'x,y,z'
'-x,-y,-z'
'-x+1/2,-y,z+1/2'
'x+1/2,y,-z+1/2'
'x+1/2,-y+1/2,-z+1/2'
'-x+1/2,y+1/2,z+1/2'
'-x,y+1/2,-z'
'x,-y+1/2,z'
loop_
_atom_site_label
_atom_site_fract_x
_atom_site_fract_y
_atom_site_fract_z
La1 0.0950 0.2500 0.1711
Cr1 0.1610 0.7500 0.4480
Se1 0.0125 0.7500 0.6062
Se2 0.1597 0.7500 0.0036
Se3 0.1915 0.2500 0.7878
```


# 2
First-principles (PBE) data for a geometry-optimized Li3Cr structure, as listed in Materials Project.

Summary:
theoretical density = 1.6 g cm⁻³
energy relative to the elements = 406 meV per atom
energy above the most stable polymorph in this dataset = 17.6 meV/atom

Structure (CIF):
```
data_Li3Cr
_cell_length_a 6.6433
_cell_length_b 6.6433
_cell_length_c 6.6433
_cell_angle_alpha 90.00
_cell_angle_beta 90.00
_cell_angle_gamma 90.00
_space_group_name_H-M_alt 'F m -3 m'
_space_group_IT_number 225
_space_group_name_Hall '-F 4 2 3'
loop_
_atom_site_label
_atom_site_fract_x
_atom_site_fract_y
_atom_site_fract_z
Li1 0.0000 0.0000 0.0000
Li2 0.2500 0.2500 0.2500
Cr1 0.0000 0.0000 0.5000
```


# 3
First-principles (PBE) data for a geometry-optimized Li3Cr structure, as listed in Materials Project.

Summary:
theoretical density = 1.7 g cm⁻³
energy relative to the elements = 400 meV per atom
energy above the most stable polymorph in this dataset = 11.2 meV/atom

Structure (CIF):
```
data_Li3Cr
_cell_length_a 5.8660
_cell_length_b 5.8660
_cell_length_c 4.8995
_cell_angle_alpha 90.00
_cell_angle_beta 90.00
_cell_angle_gamma 120.00
_space_group_name_H-M_alt 'P 63/m m c'
_space_group_IT_number 194
_space_group_name_Hall '-P 6c 2c'
loop_
_atom_site_label
_atom_site_fract_x
_atom_site_fract_y
_atom_site_fract_z
Li1 0.1672 0.3344 0.2500
Cr1 0.3333 0.6667 0.7500
```


# 4
First-principles (PBE) data for a geometry-optimized Li3Cr structure, as listed in Materials Project.

Summary:
theoretical density = 1.7 g cm⁻³
energy relative to the elements = 389 meV per atom
energy above the most stable polymorph in this dataset = 0.0 meV/atom

Structure (CIF):
```
data_Li3Cr
_cell_length_a 4.1777
_cell_length_b 4.1777
_cell_length_c 4.1777
_cell_angle_alpha 90.00
_cell_angle_beta 90.00
_cell_angle_gamma 90.00
_space_group_name_H-M_alt 'P m -3 m'
_space_group_IT_number 221
_space_group_name_Hall '-P 4 2 3'
loop_
_atom_site_label
_atom_site_fract_x
_atom_site_fract_y
_atom_site_fract_z
Li1 0.0000 0.0000 0.5000
Cr1 0.5000 0.5000 0.5000
```


# 5
First-principles (PBE) data for a geometry-optimized LiMg14Cr structure, as listed in Materials Project.

Summary:
theoretical density = 1.9 g cm⁻³
energy relative to the elements = 68 meV per atom
energy above the most stable polymorph in this dataset = 0.0 meV/atom

Structure (CIF):
```
data_LiMg14Cr
_cell_length_a 6.3557
_cell_length_b 6.3557
_cell_length_c 10.0650
_cell_angle_alpha 90.00
_cell_angle_beta 90.00
_cell_angle_gamma 120.00
_space_group_name_H-M_alt 'P -6 m 2'
_space_group_IT_number 187
_space_group_name_Hall 'P -6 2'
loop_
_atom_site_label
_atom_site_fract_x
_atom_site_fract_y
_atom_site_fract_z
Li1 0.0000 0.0000 0.0000
Mg1 0.0010 0.5005 0.0000
Mg2 0.0012 0.5006 0.5000
Mg3 0.1643 0.3287 0.2515
Mg4 0.6667 0.3333 0.2490
Cr1 0.0000 0.0000 0.5000
```


# 6
First-principles (PBE) data for a geometry-optimized LiMg14Cr structure, as listed in Materials Project.

Summary:
theoretical density = 1.9 g cm⁻³
energy relative to the elements = 71 meV per atom
energy above the most stable polymorph in this dataset = 2.7 meV/atom

Structure (CIF):
```
data_LiMg14Cr
_cell_length_a 10.0991
_cell_length_b 6.3876
_cell_length_c 10.9921
_cell_angle_alpha 90.00
_cell_angle_beta 90.00
_cell_angle_gamma 90.00
_space_group_name_H-M_alt 'A m m 2'
_space_group_IT_number 38
loop_
_space_group_symop_operation_xyz
'x,y,z'
'-x,-y,z'
'-x,y,z'
'x,-y,z'
'x,y+1/2,z+1/2'
'-x,-y+1/2,z+1/2'
'-x,y+1/2,z+1/2'
'x,-y+1/2,z+1/2'
loop_
_atom_site_label
_atom_site_fract_x
_atom_site_fract_y
_atom_site_fract_z
Li1 0.0000 0.0000 0.0000
Mg1 0.0000 0.2492 0.7507
Mg2 0.2443 0.2476 0.4195
Mg3 0.2457 0.0000 0.6645
Mg4 0.2501 0.0000 0.1666
Mg5 0.5000 0.0000 0.0000
Mg6 0.5000 0.0000 0.5002
Mg7 0.5000 0.2502 0.2509
Cr1 0.0000 0.0000 0.5005
```


# 7
First-principles (PBE) data for a geometry-optimized Li2CrN2 structure, as listed in Materials Project.

Summary:
theoretical density = 3.7 g cm⁻³
energy relative to the elements = -557 meV per atom
energy with MP2020 corrections = -6.59 eV/atom

Structure (CIF):
```
data_Li2CrN2
_cell_length_a 2.9289
_cell_length_b 2.9289
_cell_length_c 5.6151
_cell_angle_alpha 90.00
_cell_angle_beta 90.00
_cell_angle_gamma 120.00
_space_group_name_H-M_alt 'P -3 m 1'
_space_group_IT_number 164
_space_group_name_Hall '-P 3 2"'
loop_
_atom_site_label
_atom_site_fract_x
_atom_site_fract_y
_atom_site_fract_z
Li1 0.3333 0.6667 0.1453
Cr1 0.0000 0.0000 0.5000
N1 0.3333 0.6667 0.7038
```


# 8
First-principles (PBE) data for a geometry-optimized LiCrN2 structure, as listed in Materials Project.

Summary:
theoretical density = 3.2 g cm⁻³
energy relative to the elements = -679 meV per atom
energy with MP2020 corrections = -7.74 eV/atom

Structure (CIF):
```
data_LiCrN2
_cell_length_a 4.6142
_cell_length_b 4.6142
_cell_length_c 8.4432
_cell_angle_alpha 90.00
_cell_angle_beta 90.00
_cell_angle_gamma 90.00
_space_group_name_H-M_alt 'I -4 2 d'
_space_group_IT_number 122
_space_group_name_Hall 'I -4 2bw'
loop_
_atom_site_label
_atom_site_fract_x
_atom_site_fract_y
_atom_site_fract_z
Li1 0.0000 0.0000 0.0000
Cr1 0.0000 0.0000 0.5000
N1 0.1875 0.2500 0.6250
```